Compound: Sr2CuTeO6
Source: the Materials Project database
Functional: PBE
Structure: optimized geometry

**DFT formation energy**: -22.123 eV/f.u.
**Total DFT energy (no corrections)**: -5.831 eV/atom
**Calculated volume**: 13.1 Å³/atom

a = 5.467 Å, b = 5.836 Å, c = 5.467 Å
α = 62.07°, β = 90.00°, γ = 117.93°
Element x y z (fractional)
Sr1 0.750 0.500 0.750
Sr2 0.250 0.500 0.250
Cu1 0.000 0.000 0.000
Te1 0.500 0.000 0.500
O1 0.806 0.000 0.691
O2 0.691 0.000 0.194
O3 0.309 0.000 0.806
O4 0.194 0.000 0.309
O5 0.277 0.554 0.723
O6 0.723 0.446 0.277

---

Compound: Sr2Cu2TeO7
Source: the Materials Project database
Functional: PBE
Structure: optimized geometry

**DFT formation energy**: -20.650 eV/f.u.
**Total DFT energy (no corrections)**: -5.433 eV/atom
**Calculated volume**: 15.1 Å³/atom

a = 14.035 Å, b = 14.035 Å, c = 14.035 Å
α = 158.88°, β = 158.61°, γ = 30.24°
Element x y z (fractional)
Sr1 0.642 0.619 0.983
Sr2 0.358 0.341 0.976
Sr3 0.135 0.119 0.976
Sr4 0.865 0.841 0.983
Cu1 0.560 0.039 0.479
Cu2 0.440 0.919 0.479
Cu3 0.060 0.539 0.479
Cu4 0.940 0.419 0.479
Te1 0.247 0.755 0.502
Te2 0.753 0.255 0.508
O1 0.875 0.629 0.004
O2 0.125 0.129 0.754
O3 0.326 0.305 0.480
O4 0.674 0.154 0.979
O5 0.325 0.805 0.979
O6 0.675 0.654 0.480
O7 0.825 0.804 0.478
O8 0.175 0.653 0.979
O9 0.825 0.304 0.979
O10 0.175 0.153 0.478
O11 0.161 0.666 0.474
O12 0.839 0.314 0.505
O13 0.692 0.166 0.505
O14 0.308 0.814 0.474

---

Compound: SrTi4Cu3O12
Source: the Materials Project database
Functional: PBE
Structure: optimized geometry

**DFT formation energy**: -53.827 eV/f.u.
**Total DFT energy (no corrections)**: -7.526 eV/atom
**Calculated volume**: 10.5 Å³/atom

a = 6.495 Å, b = 6.495 Å, c = 6.495 Å
α = 109.47°, β = 109.47°, γ = 109.47°
Element x y z (fractional)
Sr1 0.000 0.000 0.000
Ti1 0.500 0.500 0.500
Ti2 0.500 0.000 0.000
Ti3 0.000 0.500 0.000
Ti4 0.000 0.000 0.500
Cu1 0.500 0.500 0.000
Cu2 0.500 0.000 0.500
Cu3 0.000 0.500 0.500
O1 0.821 0.695 0.516
O2 0.179 0.305 0.484
O3 0.179 0.695 0.874
O4 0.821 0.305 0.126
O5 0.695 0.516 0.821
O6 0.305 0.484 0.179
O7 0.695 0.874 0.179
O8 0.305 0.126 0.821
O9 0.516 0.821 0.695
O10 0.484 0.179 0.305
O11 0.126 0.821 0.305
O12 0.874 0.179 0.695

---

Compound: Sr2TiCu2O7
Source: the Materials Project database
Functional: PBE
Structure: optimized geometry

**DFT formation energy**: -27.079 eV/f.u.
**Total DFT energy (no corrections)**: -6.365 eV/atom
**Calculated volume**: 14.3 Å³/atom

a = 13.150 Å, b = 13.150 Å, c = 13.150 Å
α = 157.39°, β = 156.85°, γ = 32.58°
Element x y z (fractional)
Sr1 0.633 0.624 0.970
Sr2 0.367 0.337 0.992
Sr3 0.155 0.124 0.992
Sr4 0.845 0.837 0.970
Ti1 0.179 0.795 0.474
Ti2 0.821 0.295 0.616
Cu1 0.563 0.038 0.481
Cu2 0.437 0.918 0.476
Cu3 0.058 0.538 0.476
Cu4 0.942 0.418 0.481
O1 0.849 0.660 0.009
O2 0.151 0.160 0.811
O3 0.326 0.303 0.479
O4 0.674 0.154 0.978
O5 0.324 0.803 0.978
O6 0.676 0.654 0.479
O7 0.828 0.805 0.478
O8 0.172 0.651 0.978
O9 0.827 0.305 0.978
O10 0.173 0.151 0.478
O11 0.231 0.642 0.501
O12 0.769 0.271 0.411
O13 0.641 0.142 0.411
O14 0.359 0.771 0.501